Record 1
! Fe2SbP3O12 (PBE with a Hubbard U, optimized geometry); values from VASP
! * SG: No. 167
&SYSTEM
  ibrav = 0, nat = 36, ntyp = 4
/
ATOMIC_SPECIES
Sb 121.76 Sb.upf
O 16.00 O.upf
Fe 55.84 Fe.upf
P 30.97 P.upf
ATOMIC_POSITIONS angstrom
Sb 10.344 0.000 3.558
Sb 0.000 0.000 0.000
O 14.288 1.698 4.962
O 11.749 -3.724 5.218
O 5.900 0.810 3.609
O 12.428 0.898 2.968
O 6.400 -1.698 2.154
O 9.117 -0.621 1.660
O 6.857 0.888 0.827
O 11.656 2.647 1.404
O 9.489 3.457 4.385
O 11.572 0.621 5.457
O 8.261 -0.898 4.148
O 9.446 -2.826 0.427
O 9.032 -2.647 5.713
O 9.708 0.810 7.066
O 11.242 2.826 6.690
O 7.348 -0.898 6.526
O 8.610 1.519 3.131
O 13.341 0.898 0.590
O 11.199 -3.457 2.731
O 8.940 3.724 1.899
O 14.788 -0.810 3.508
O 13.831 -0.888 6.289
O 10.980 -0.810 0.050
O 12.078 -1.519 3.985
Fe 7.258 0.000 2.497
Fe 17.602 0.000 6.055
Fe 13.430 0.000 4.620
Fe 3.086 0.000 1.061
P 8.516 3.082 3.268
P 12.172 -3.082 3.848
P 12.884 1.818 1.779
P 9.540 -1.263 0.290
P 11.148 1.263 6.827
P 7.804 -1.818 5.337
CELL_PARAMETERS angstrom
7.712 -4.345 0.000
7.712 4.345 0.000
5.264 0.000 7.117

***

Record 2
! FeSb3P4O16 (PBE with a Hubbard U, optimized geometry); values from VASP
! * largest piezoelectric modulus: 0.73 C/m²
! * SG: No. 6
&SYSTEM
  ibrav = 0, nat = 24, ntyp = 4
/
ATOMIC_SPECIES
O 16.00 O.upf
Sb 121.76 Sb.upf
P 30.97 P.upf
Fe 55.84 Fe.upf
ATOMIC_POSITIONS angstrom
O 5.585 7.037 5.537
O 4.660 4.183 5.260
O 0.728 3.255 5.885
O 1.393 4.869 8.316
O 4.735 2.714 3.173
O 1.118 1.658 3.888
O 3.346 0.791 5.785
O 3.122 2.394 9.085
O 1.904 -1.967 6.578
O 2.333 4.873 3.217
O 3.455 -0.163 2.720
O 3.937 4.979 7.982
O 1.718 0.332 0.846
O 0.299 0.704 5.927
O 0.351 -1.542 3.490
O 2.214 5.824 6.275
Sb 0.858 2.361 1.449
Sb 1.839 -0.311 4.664
Sb 3.896 6.059 4.401
P 2.606 5.736 7.801
P 0.180 2.053 5.102
P 5.519 3.770 3.982
P 3.112 -0.205 1.155
Fe 4.955 3.420 7.662
CELL_PARAMETERS angstrom
-2.371 -2.758 5.897
4.598 -1.574 1.112
2.305 8.648 4.972

***

Record 3
! FeSb3P6O24 (PBE with a Hubbard U, optimized geometry); values from VASP
! * SG: No. 146
&SYSTEM
  ibrav = 0, nat = 34, ntyp = 4
/
ATOMIC_SPECIES
P 30.97 P.upf
O 16.00 O.upf
Sb 121.76 Sb.upf
Fe 55.84 Fe.upf
ATOMIC_POSITIONS angstrom
P 9.674 1.230 0.265
P 12.324 3.086 3.838
P 7.966 1.850 5.319
P 8.648 -3.080 3.301
P 11.320 -1.275 6.810
P 13.031 -1.811 1.747
O 8.550 -1.539 3.109
O 11.243 -2.758 6.659
O 6.519 1.633 1.967
O 5.958 -0.622 3.625
O 12.411 1.534 3.940
O 12.720 -0.976 3.025
O 6.864 -1.010 0.945
O 15.002 0.617 3.428
O 9.541 -3.306 4.485
O 9.690 2.781 0.423
O 8.223 0.950 4.077
O 14.426 -1.657 5.133
O 14.083 1.039 6.146
O 9.163 -3.730 1.981
O 9.928 -0.586 6.987
O 11.870 -0.557 5.542
O 11.031 0.619 0.076
O 9.198 2.687 5.501
O 11.779 3.725 5.073
O 7.621 0.949 6.544
O 9.077 0.590 1.551
O 11.418 3.273 2.579
O 13.309 -0.967 0.547
O 11.743 -2.686 1.617
Sb 3.003 0.000 1.015
Sb 7.471 0.000 2.525
Sb 13.488 0.000 4.559
Fe 17.974 0.000 6.075
CELL_PARAMETERS angstrom
7.784 -4.317 0.000
7.784 4.317 0.000
5.390 0.000 7.083

***

Record 4
## FeSbP2O8 (PBE with a Hubbard U)

Data for a geometry-optimized FeSbP2O8 structure. Values from VASP.

```
&SYSTEM
  ibrav = 0, nat = 48, ntyp = 4
/
ATOMIC_SPECIES
O 16.00 O.upf
Sb 121.76 Sb.upf
Fe 55.84 Fe.upf
P 30.97 P.upf
ATOMIC_POSITIONS angstrom
O 1.867 1.630 8.429
O 7.400 0.456 6.905
O 0.977 -1.610 7.852
O 4.773 1.634 1.698
O 8.683 3.641 4.247
O 3.784 -0.420 8.366
O 6.787 1.628 4.713
O 8.689 -0.368 4.227
O 9.880 1.639 2.546
O 7.400 -3.635 6.884
O 10.207 1.646 7.420
O 5.100 1.641 6.569
O 3.450 -2.786 3.505
O 2.169 0.397 6.170
O 8.991 -1.601 1.968
O 6.084 -1.606 8.700
O 0.651 -1.618 2.978
O 1.843 0.390 1.297
O 9.015 -0.361 9.100
O 8.675 -2.809 4.238
O 3.458 -0.428 3.494
O 4.080 4.850 5.694
O 6.778 -4.821 4.704
O 2.174 -3.612 6.150
O 1.540 1.623 3.556
O 3.458 3.664 3.514
O 7.408 2.815 6.893
O 2.183 2.837 6.159
O 5.758 -1.612 3.829
O 4.070 -1.599 5.685
O 9.318 -1.594 6.841
O 7.073 0.449 2.032
Sb 3.344 1.635 4.583
Sb 7.522 4.842 5.824
Sb 3.336 -4.814 4.574
Sb 7.514 -1.607 5.815
Fe 8.482 1.620 8.252
Fe 2.377 -1.592 2.147
Fe 2.703 -1.584 7.019
Fe 8.155 1.612 3.379
P 1.194 1.616 2.049
P 1.521 1.623 6.922
P 9.664 -1.587 8.348
P 6.558 -4.816 6.234
P 6.567 1.633 6.242
P 4.291 -1.604 4.156
P 9.337 -1.595 3.475
P 4.300 4.845 4.164
CELL_PARAMETERS angstrom
0.335 6.457 4.881
0.318 -6.442 4.863
10.205 0.014 0.653
```

***

Record 5
! VFe3Sb2P6O24 (PBE with a Hubbard U, optimized geometry); values from VASP
! * SG: No. 146
&SYSTEM
  ibrav = 0, nat = 36, ntyp = 5
/
ATOMIC_SPECIES
O 16.00 O.upf
P 30.97 P.upf
Sb 121.76 Sb.upf
Fe 55.84 Fe.upf
V 50.94 V.upf
ATOMIC_POSITIONS angstrom
O 9.507 -2.803 0.475
O 9.536 3.414 4.405
O 11.321 2.841 6.688
O 9.104 -2.644 5.667
O 14.387 1.707 4.971
O 9.017 3.676 1.907
O 11.018 -0.770 0.072
O 8.326 -0.881 4.133
O 8.670 1.494 3.129
O 6.918 0.899 0.822
O 11.818 -3.728 5.235
O 6.461 -1.715 2.159
O 11.283 -3.500 2.763
O 11.760 2.648 1.368
O 14.889 -0.813 3.505
O 11.665 0.631 5.467
O 9.163 -0.613 1.685
O 9.799 0.851 7.103
O 5.957 0.815 3.632
O 7.446 -0.873 6.501
O 13.932 -0.895 6.303
O 13.411 0.887 0.578
O 12.520 0.895 2.966
O 12.167 -1.526 4.000
P 12.963 1.831 1.787
P 9.584 -1.263 0.312
P 8.576 3.062 3.260
P 7.868 -1.799 5.330
P 11.234 1.254 6.842
P 12.260 -3.085 3.841
Sb 10.386 0.000 3.552
Sb 20.622 0.000 7.053
Fe 13.526 0.000 4.626
Fe 17.645 0.000 6.035
Fe 7.314 0.000 2.502
V 3.010 0.000 1.030
CELL_PARAMETERS angstrom
7.750 -4.344 0.000
7.750 4.344 0.000
5.315 0.000 7.119

***

Record 6
! V2Fe3SbP6O24 (PBE with a Hubbard U, optimized geometry); values from VASP
! * SG: No. 146
&SYSTEM
  ibrav = 0, nat = 36, ntyp = 5
/
ATOMIC_SPECIES
P 30.97 P.upf
O 16.00 O.upf
Fe 55.84 Fe.upf
V 50.94 V.upf
Sb 121.76 Sb.upf
ATOMIC_POSITIONS angstrom
P -1.923 8.536 -3.322
P -1.122 4.642 -5.817
P -4.624 7.118 -7.646
P -0.716 7.553 -10.208
P -1.546 11.422 -7.741
P 1.963 8.931 -5.866
O -2.666 12.374 -8.124
O -2.259 8.657 -4.828
O -2.274 14.168 -10.466
O -2.004 5.179 -4.620
O 0.015 3.781 -5.329
O -4.935 7.724 -9.121
O -4.070 11.805 -10.686
O 0.069 8.770 -10.762
O -0.442 8.242 -3.207
O -0.678 12.302 -6.687
O -2.269 7.836 -10.273
O -0.669 5.946 -6.513
O 0.863 8.074 -6.535
O -3.551 8.049 -7.030
O -2.799 7.280 -2.777
O -4.018 5.735 -7.755
O 1.314 4.221 -2.796
O -0.448 1.969 -3.138
O -1.996 10.162 -6.962
O -0.465 7.393 -8.691
O -0.677 10.959 -8.891
O 2.261 8.413 -4.437
O 1.291 10.360 -5.796
O -1.992 3.789 -6.776
Fe 1.010 6.341 -7.672
Fe -3.695 9.747 -5.850
Fe -0.309 10.832 -10.802
V -1.326 8.032 -6.767
V 1.994 9.165 -11.694
Sb -2.411 5.281 -2.707
CELL_PARAMETERS angstrom
-4.755 6.978 -1.799
3.711 6.995 -3.493
-1.650 2.122 -8.227

***

Record 7
! V3FeSb2P6O24 (PBE with a Hubbard U, optimized geometry); values from VASP
! * SG: No. 146
&SYSTEM
  ibrav = 0, nat = 36, ntyp = 5
/
ATOMIC_SPECIES
O 16.00 O.upf
V 50.94 V.upf
Fe 55.84 Fe.upf
P 30.97 P.upf
Sb 121.76 Sb.upf
ATOMIC_POSITIONS angstrom
O -11.239 -2.618 10.101
O -8.660 1.831 4.506
O -6.740 -4.471 5.765
O -6.854 -3.463 11.075
O -10.683 0.023 5.740
O -8.256 2.689 6.885
O -7.268 -4.319 8.695
O -5.409 -0.756 7.590
O -3.926 0.622 9.102
O -10.116 -0.877 7.963
O -4.282 0.993 5.453
O -11.439 0.339 10.209
O -4.081 -1.953 5.346
O -9.025 -3.349 5.489
O -8.792 2.873 9.802
O -5.990 -0.538 3.589
O -8.507 0.353 9.696
O -9.525 -1.083 11.971
O -4.860 -1.652 9.821
O -6.508 1.742 10.083
O -8.449 -2.303 9.477
O -7.020 -1.962 5.857
O -11.616 -2.257 6.450
O -7.062 0.683 6.090
V -5.486 -0.573 5.500
V -10.032 -1.047 10.056
V -2.260 -0.236 2.266
Fe -13.183 -1.376 13.215
P -7.915 -3.715 9.923
P -7.984 1.653 10.414
P -7.528 -3.275 5.154
P -4.263 -0.835 8.666
P -11.263 -0.774 6.890
P -7.611 2.084 5.630
Sb -15.433 -1.611 15.470
Sb -7.764 -0.811 7.783
CELL_PARAMETERS angstrom
-8.458 1.742 2.143
-4.730 -5.546 5.103
-2.326 2.183 8.306

***

Record 8
! SmFePO (PBE with a Hubbard U, optimized geometry); values from VASP
! * SG: No. 129
&SYSTEM
  ibrav = 0, nat = 8, ntyp = 4
/
ATOMIC_SPECIES
Fe 55.84 Fe.upf
O 16.00 O.upf
P 30.97 P.upf
Sm 150.36 Sm.upf
ATOMIC_POSITIONS angstrom
Fe 3.580 2.654 2.569
Fe 4.191 0.426 1.079
O 0.000 0.000 0.000
O -0.610 2.228 1.490
P 2.356 0.612 2.587
P 5.414 2.469 1.062
Sm 6.715 1.055 3.709
Sm 1.056 2.026 -0.060
CELL_PARAMETERS angstrom
-0.203 3.816 -0.717
-1.017 0.640 3.698
8.381 0.852 2.158

***

Record 9
! FeSnP2O8 (PBE with a Hubbard U, optimized geometry); values from VASP
! * SG: No. 11
&SYSTEM
  ibrav = 0, nat = 24, ntyp = 4
/
ATOMIC_SPECIES
O 16.00 O.upf
Sn 118.71 Sn.upf
P 30.97 P.upf
Fe 55.84 Fe.upf
ATOMIC_POSITIONS angstrom
O 8.434 5.786 3.578
O 3.303 5.751 3.802
O 8.434 3.339 3.578
O 1.702 0.298 1.402
O 1.059 1.521 3.594
O 4.581 1.521 0.742
O 1.702 2.744 1.402
O 6.304 1.521 3.916
O 6.833 0.333 1.178
O 9.628 1.521 1.591
O 6.833 2.709 1.178
O 0.509 4.563 3.388
O 5.555 4.563 4.238
O 9.078 4.563 1.385
O 3.303 3.375 3.802
O 3.832 4.563 1.063
Sn 7.893 1.521 2.647
Sn 2.243 4.563 2.332
P 0.962 1.521 2.092
P 9.174 4.563 2.888
P 4.082 4.563 4.523
P 6.054 1.521 0.457
Fe 7.342 4.563 0.260
Fe 2.794 1.521 4.719
CELL_PARAMETERS angstrom
10.144 0.000 -0.008
0.000 6.084 0.000
-0.007 0.000 4.988

***

Record 10
! SrFeSnP3O12 (PBE with a Hubbard U, optimized geometry); values from VASP
! * SG: No. 148
&SYSTEM
  ibrav = 0, nat = 36, ntyp = 5
/
ATOMIC_SPECIES
O 16.00 O.upf
P 30.97 P.upf
Sr 87.62 Sr.upf
Sn 118.71 Sn.upf
Fe 55.84 Fe.upf
ATOMIC_POSITIONS angstrom
O -0.617 -0.891 13.722
O -2.383 4.045 9.580
O -2.855 1.812 15.819
O -3.624 -2.746 9.652
O 0.382 -1.117 7.251
O -1.370 -3.061 10.881
O 1.151 3.440 13.419
O -1.103 3.755 12.190
O -3.968 2.193 10.445
O 1.495 -1.499 12.626
O 1.865 1.843 11.080
O 2.844 -0.412 10.275
O -2.291 -1.182 15.970
O 0.527 0.369 9.641
O -1.719 -1.099 9.445
O -4.337 -1.148 11.991
O -0.754 1.794 13.626
O -5.316 1.106 12.796
O -0.181 1.877 7.101
O -1.855 1.586 9.349
O -0.090 -3.351 13.491
O -2.480 -0.119 6.915
O -2.999 0.325 13.430
O 0.008 0.814 16.156
P 0.529 -1.961 13.714
P -0.381 3.308 13.458
P -4.467 -0.134 13.124
P -2.092 -2.613 9.613
P -3.002 2.655 9.357
P 1.995 0.828 9.947
Sr 0.000 0.000 0.000
Sr -1.236 0.347 11.535
Sn -1.606 0.451 14.982
Sn -0.867 0.244 8.089
Fe -2.098 0.589 19.574
Fe -0.375 0.105 3.497
CELL_PARAMETERS angstrom
-4.912 -2.564 7.336
3.617 -1.922 8.231
-1.177 5.180 7.504

***

Record 11
! Ti3Fe2SnP6O24 (PBE with a Hubbard U, optimized geometry); values from VASP
! * SG: No. 146
&SYSTEM
  ibrav = 0, nat = 36, ntyp = 5
/
ATOMIC_SPECIES
Fe 55.84 Fe.upf
P 30.97 P.upf
Ti 47.87 Ti.upf
O 16.00 O.upf
Sn 118.71 Sn.upf
ATOMIC_POSITIONS angstrom
Fe -10.129 1.829 -2.214
Fe -20.149 3.638 -4.404
P -9.044 1.782 1.173
P -8.626 -1.232 -3.227
P -12.620 -0.367 -0.979
P -7.624 4.017 -3.475
P -11.203 1.902 -5.589
P -11.631 4.867 -1.181
Ti -17.312 3.126 -3.784
Ti -13.034 2.353 -2.849
Ti -7.219 1.304 -1.578
O -10.939 3.324 -6.171
O -9.972 0.991 -5.758
O -9.261 0.332 1.765
O -8.166 2.804 -2.669
O -8.658 0.182 -2.582
O -5.900 1.188 -3.019
O -8.876 1.655 -0.367
O -12.088 0.857 -1.780
O -12.101 4.718 0.298
O -7.449 5.231 -2.478
O -10.059 -1.776 -3.165
O -13.528 3.995 -3.770
O -14.004 1.103 -3.983
O -6.694 -0.337 -0.648
O -11.382 2.020 -4.047
O -14.325 2.459 -1.395
O -11.606 3.456 -1.839
O -10.169 5.347 -1.258
O -8.101 -1.083 -4.711
O -6.218 2.546 -0.444
O -12.747 -1.580 -1.949
O -10.251 2.698 1.411
O -8.652 4.308 -4.576
O -11.541 -0.617 0.092
Sn -2.905 0.525 -0.635
CELL_PARAMETERS angstrom
-5.904 6.180 -1.207
-6.217 -1.194 -5.867
-8.105 -1.333 2.654

***

| no. | E (eV/atom) |
| --- | --- |
| 1 | -6.97 |
| 2 | -6.78 |
| 3 | -6.86 |
| 4 | -6.89 |
| 5 | -7.05 |
| 6 | -7.18 |
| 7 | -7.21 |
| 8 | -6.79 |
| 9 | -6.97 |
| 10 | -7.06 |
| 11 | -7.58 |